He: relaxed, meta-GGA r2SCAN.

a b c (Å): 2.822 2.822 2.822
angles (deg): 109.47 109.47 109.47
Sites, in units of the cell vectors:
He1 0.000 0.000 0.000

ΔH_f (0 K), eV/atom: 0.000
Crystal system: cubic